Entry 1:
Ce15Ni32: optimized geometry, GGA-PBE. Values from VASP.

Values from the calculation:
**DFT formation energy**: -0.377 eV per atom

```
&SYSTEM
  ibrav = 0, nat = 47, ntyp = 2
/
ATOMIC_SPECIES
Ce 140.12 Ce.upf
Ni 58.69 Ni.upf
ATOMIC_POSITIONS crystal
Ce 0.9922 0.9922 0.5078
Ce 0.5078 0.9922 0.9922
Ce 0.9922 0.5078 0.9922
Ce 0.5078 0.5078 0.9922
Ce 0.9922 0.5078 0.5078
Ce 0.5078 0.9922 0.5078
Ce 0.3743 0.3743 0.3743
Ce 0.3743 0.8772 0.3743
Ce 0.8772 0.3743 0.3743
Ce 0.3743 0.3743 0.8772
Ce 0.5000 0.5000 0.5000
Ce 0.8944 0.8944 0.8944
Ce 0.8944 0.3167 0.8944
Ce 0.3167 0.8944 0.8944
Ce 0.8944 0.8944 0.3167
Ni 0.1886 0.6842 0.1886
Ni 0.1886 0.1886 0.6842
Ni 0.6842 0.1886 0.1886
Ni 0.1886 0.9386 0.1886
Ni 0.6842 0.9386 0.1886
Ni 0.1886 0.9386 0.6842
Ni 0.9386 0.1886 0.6842
Ni 0.9386 0.6842 0.1886
Ni 0.9386 0.1886 0.1886
Ni 0.6842 0.1886 0.9386
Ni 0.1886 0.1886 0.9386
Ni 0.1886 0.6842 0.9386
Ni 0.6883 0.1855 0.6883
Ni 0.6883 0.6883 0.1855
Ni 0.1855 0.6883 0.6883
Ni 0.6883 0.4380 0.6883
Ni 0.1855 0.4380 0.6883
Ni 0.6883 0.4380 0.1855
Ni 0.4380 0.6883 0.1855
Ni 0.4380 0.1855 0.6883
Ni 0.4380 0.6883 0.6883
Ni 0.1855 0.6883 0.4380
Ni 0.6883 0.6883 0.4380
Ni 0.6883 0.1855 0.4380
Ni 0.6882 0.6882 0.6882
Ni 0.6882 0.9353 0.6882
Ni 0.9353 0.6882 0.6882
Ni 0.6882 0.6882 0.9353
Ni 0.1879 0.1879 0.1879
Ni 0.1879 0.4364 0.1879
Ni 0.4364 0.1879 0.1879
Ni 0.1879 0.1879 0.4364
CELL_PARAMETERS angstrom
0.0000 7.1364 7.1364
7.1364 0.0000 7.1364
7.1364 7.1364 0.0000
```

---

Entry 2:
BaSrTbTiO6: optimized geometry, GGA-PBE. Values from VASP.

Values from the calculation:
**DFT formation energy**: -3.318 eV per atom
**E above lowest polymorph**: 5 meV/atom

```
&SYSTEM
  ibrav = 0, nat = 20, ntyp = 5
/
ATOMIC_SPECIES
Ba 137.33 Ba.upf
Sr 87.62 Sr.upf
Tb 158.93 Tb.upf
Ti 47.87 Ti.upf
O 16.00 O.upf
ATOMIC_POSITIONS crystal
Ba 0.5007 0.5037 0.2500
Ba 0.4993 0.4963 0.7500
Sr 0.0001 0.0041 0.2501
Sr 0.9999 0.9959 0.7499
Tb 0.0000 0.5000 0.0000
Tb 0.5000 0.0000 0.5000
Ti 0.5000 0.0000 0.0000
Ti 0.0000 0.5000 0.5000
O 0.2482 0.2162 0.9847
O 0.2440 0.7232 0.5144
O 0.7518 0.7838 0.0153
O 0.7560 0.2768 0.4856
O 0.2773 0.7556 0.9853
O 0.2159 0.2477 0.5148
O 0.7227 0.2444 0.0147
O 0.7841 0.7523 0.4852
O 0.4676 0.9988 0.2337
O 0.0256 0.4973 0.2662
O 0.5324 0.0012 0.7663
O 0.9744 0.5027 0.7338
CELL_PARAMETERS angstrom
5.9623 -0.0062 -0.0039
-0.0063 5.9501 -0.0024
-0.0056 -0.0035 8.4296
```

---

Repeat the second record exactly.
BaSrTbTiO6: optimized geometry, GGA-PBE. Values from VASP.

Values from the calculation:
**DFT formation energy**: -3.318 eV per atom
**E above lowest polymorph**: 5 meV/atom

```
&SYSTEM
  ibrav = 0, nat = 20, ntyp = 5
/
ATOMIC_SPECIES
Ba 137.33 Ba.upf
Sr 87.62 Sr.upf
Tb 158.93 Tb.upf
Ti 47.87 Ti.upf
O 16.00 O.upf
ATOMIC_POSITIONS crystal
Ba 0.5007 0.5037 0.2500
Ba 0.4993 0.4963 0.7500
Sr 0.0001 0.0041 0.2501
Sr 0.9999 0.9959 0.7499
Tb 0.0000 0.5000 0.0000
Tb 0.5000 0.0000 0.5000
Ti 0.5000 0.0000 0.0000
Ti 0.0000 0.5000 0.5000
O 0.2482 0.2162 0.9847
O 0.2440 0.7232 0.5144
O 0.7518 0.7838 0.0153
O 0.7560 0.2768 0.4856
O 0.2773 0.7556 0.9853
O 0.2159 0.2477 0.5148
O 0.7227 0.2444 0.0147
O 0.7841 0.7523 0.4852
O 0.4676 0.9988 0.2337
O 0.0256 0.4973 0.2662
O 0.5324 0.0012 0.7663
O 0.9744 0.5027 0.7338
CELL_PARAMETERS angstrom
5.9623 -0.0062 -0.0039
-0.0063 5.9501 -0.0024
-0.0056 -0.0035 8.4296
```

---

Copy entry 1 word for word.
Ce15Ni32: optimized geometry, GGA-PBE. Values from VASP.

Values from the calculation:
**DFT formation energy**: -0.377 eV per atom

```
&SYSTEM
  ibrav = 0, nat = 47, ntyp = 2
/
ATOMIC_SPECIES
Ce 140.12 Ce.upf
Ni 58.69 Ni.upf
ATOMIC_POSITIONS crystal
Ce 0.9922 0.9922 0.5078
Ce 0.5078 0.9922 0.9922
Ce 0.9922 0.5078 0.9922
Ce 0.5078 0.5078 0.9922
Ce 0.9922 0.5078 0.5078
Ce 0.5078 0.9922 0.5078
Ce 0.3743 0.3743 0.3743
Ce 0.3743 0.8772 0.3743
Ce 0.8772 0.3743 0.3743
Ce 0.3743 0.3743 0.8772
Ce 0.5000 0.5000 0.5000
Ce 0.8944 0.8944 0.8944
Ce 0.8944 0.3167 0.8944
Ce 0.3167 0.8944 0.8944
Ce 0.8944 0.8944 0.3167
Ni 0.1886 0.6842 0.1886
Ni 0.1886 0.1886 0.6842
Ni 0.6842 0.1886 0.1886
Ni 0.1886 0.9386 0.1886
Ni 0.6842 0.9386 0.1886
Ni 0.1886 0.9386 0.6842
Ni 0.9386 0.1886 0.6842
Ni 0.9386 0.6842 0.1886
Ni 0.9386 0.1886 0.1886
Ni 0.6842 0.1886 0.9386
Ni 0.1886 0.1886 0.9386
Ni 0.1886 0.6842 0.9386
Ni 0.6883 0.1855 0.6883
Ni 0.6883 0.6883 0.1855
Ni 0.1855 0.6883 0.6883
Ni 0.6883 0.4380 0.6883
Ni 0.1855 0.4380 0.6883
Ni 0.6883 0.4380 0.1855
Ni 0.4380 0.6883 0.1855
Ni 0.4380 0.1855 0.6883
Ni 0.4380 0.6883 0.6883
Ni 0.1855 0.6883 0.4380
Ni 0.6883 0.6883 0.4380
Ni 0.6883 0.1855 0.4380
Ni 0.6882 0.6882 0.6882
Ni 0.6882 0.9353 0.6882
Ni 0.9353 0.6882 0.6882
Ni 0.6882 0.6882 0.9353
Ni 0.1879 0.1879 0.1879
Ni 0.1879 0.4364 0.1879
Ni 0.4364 0.1879 0.1879
Ni 0.1879 0.1879 0.4364
CELL_PARAMETERS angstrom
0.0000 7.1364 7.1364
7.1364 0.0000 7.1364
7.1364 7.1364 0.0000
```

---

Please write out number 1 again, unchanged.
Ce15Ni32: optimized geometry, GGA-PBE. Values from VASP.

Values from the calculation:
**DFT formation energy**: -0.377 eV per atom

```
&SYSTEM
  ibrav = 0, nat = 47, ntyp = 2
/
ATOMIC_SPECIES
Ce 140.12 Ce.upf
Ni 58.69 Ni.upf
ATOMIC_POSITIONS crystal
Ce 0.9922 0.9922 0.5078
Ce 0.5078 0.9922 0.9922
Ce 0.9922 0.5078 0.9922
Ce 0.5078 0.5078 0.9922
Ce 0.9922 0.5078 0.5078
Ce 0.5078 0.9922 0.5078
Ce 0.3743 0.3743 0.3743
Ce 0.3743 0.8772 0.3743
Ce 0.8772 0.3743 0.3743
Ce 0.3743 0.3743 0.8772
Ce 0.5000 0.5000 0.5000
Ce 0.8944 0.8944 0.8944
Ce 0.8944 0.3167 0.8944
Ce 0.3167 0.8944 0.8944
Ce 0.8944 0.8944 0.3167
Ni 0.1886 0.6842 0.1886
Ni 0.1886 0.1886 0.6842
Ni 0.6842 0.1886 0.1886
Ni 0.1886 0.9386 0.1886
Ni 0.6842 0.9386 0.1886
Ni 0.1886 0.9386 0.6842
Ni 0.9386 0.1886 0.6842
Ni 0.9386 0.6842 0.1886
Ni 0.9386 0.1886 0.1886
Ni 0.6842 0.1886 0.9386
Ni 0.1886 0.1886 0.9386
Ni 0.1886 0.6842 0.9386
Ni 0.6883 0.1855 0.6883
Ni 0.6883 0.6883 0.1855
Ni 0.1855 0.6883 0.6883
Ni 0.6883 0.4380 0.6883
Ni 0.1855 0.4380 0.6883
Ni 0.6883 0.4380 0.1855
Ni 0.4380 0.6883 0.1855
Ni 0.4380 0.1855 0.6883
Ni 0.4380 0.6883 0.6883
Ni 0.1855 0.6883 0.4380
Ni 0.6883 0.6883 0.4380
Ni 0.6883 0.1855 0.4380
Ni 0.6882 0.6882 0.6882
Ni 0.6882 0.9353 0.6882
Ni 0.9353 0.6882 0.6882
Ni 0.6882 0.6882 0.9353
Ni 0.1879 0.1879 0.1879
Ni 0.1879 0.4364 0.1879
Ni 0.4364 0.1879 0.1879
Ni 0.1879 0.1879 0.4364
CELL_PARAMETERS angstrom
0.0000 7.1364 7.1364
7.1364 0.0000 7.1364
7.1364 7.1364 0.0000
```

---

Look up the DFT formation energy of the first one.
-0.377 eV per atom